No. 1
# Mg14NbNiO16, optimized geometry, DFT GGA+U
# Calculated total energy in eV/atom: -6.0376
data_Mg14NbNiO16
_symmetry_space_group_name_H-M 'P m m m'
_symmetry_Int_Tables_number 47
_symmetry_space_group_name_Hall '-P 2 2'
_cell_length_a 4.247
_cell_length_b 8.621
_cell_length_c 8.671
_cell_angle_alpha 90.00
_cell_angle_beta 90.00
_cell_angle_gamma 90.00
loop_
_atom_site_label
_atom_site_type_symbol
_atom_site_fract_x
_atom_site_fract_y
_atom_site_fract_z
Mg1 Mg 0.000 0.000 0.000
Mg2 Mg 0.000 0.000 0.500
Mg3 Mg 0.000 0.249 0.241
Mg4 Mg 0.500 0.000 0.247
Mg5 Mg 0.500 0.242 0.500
Mg6 Mg 0.500 0.252 0.000
Mg7 Mg 0.500 0.500 0.235
Nb1 Nb 0.000 0.500 0.500
Ni1 Ni 0.000 0.500 0.000
O1 O 0.000 0.000 0.254
O2 O 0.000 0.233 0.000
O3 O 0.000 0.244 0.500
O4 O 0.000 0.500 0.255
O5 O 0.500 0.000 0.000
O6 O 0.500 0.000 0.500
O7 O 0.500 0.252 0.251
O8 O 0.500 0.500 0.000
O9 O 0.500 0.500 0.500



No. 2
# Li4VCr3O8, optimized geometry, DFT GGA+U
# Calculated total energy in eV/atom: -6.9198
data_Li4VCr3O8
_symmetry_space_group_name_H-M 'P -1'
_symmetry_Int_Tables_number 2
_symmetry_space_group_name_Hall '-P 1'
_cell_length_a 5.139
_cell_length_b 5.961
_cell_length_c 10.707
_cell_angle_alpha 98.11
_cell_angle_beta 103.69
_cell_angle_gamma 106.91
loop_
_atom_site_label
_atom_site_type_symbol
_atom_site_fract_x
_atom_site_fract_y
_atom_site_fract_z
Li1 Li 0.125 0.187 0.125
Li2 Li 0.128 0.689 0.125
Li3 Li 0.372 0.061 0.375
Li4 Li 0.374 0.563 0.375
V1 V 0.250 0.625 0.750
Cr1 Cr 0.000 0.249 0.500
Cr2 Cr 0.250 0.125 0.750
Cr3 Cr 0.500 0.000 0.000
Cr4 Cr 0.500 0.500 0.000
O1 O 0.041 0.716 0.314
O2 O 0.044 0.212 0.315
O3 O 0.210 0.661 0.936
O4 O 0.211 0.161 0.936
O5 O 0.289 0.089 0.564
O6 O 0.290 0.589 0.563
O7 O 0.456 0.538 0.185
O8 O 0.459 0.034 0.185



| no. | V (Å³/cell) | energy of formation from the pure elements (eV/atom) |
| --- | --- | --- |
| 1 | 317.4 | -2.79 |
| 2 | 297.1 | -2.42 |